# 1
CaTl6C2O6F2 (PBE, optimized geometry); energy relative to the lowest polymorph listed for this composition = 0 meV/atom; formation enthalpy at 0 K = -38.07 kcal/mol of atoms; theoretical density = 6.64 g cm⁻³; total moment = 0.00 μB per formula unit; symmetry = P1
1.0
7.224 0.328 -0.978
0.869 6.541 -4.541
-1.117 -0.619 8.127
Tl O F C Ca
6 6 2 2 1
Direct
0.180 0.040 0.280
0.700 0.354 0.565
0.705 0.720 0.096
0.373 0.607 0.386
0.457 0.036 0.873
0.115 0.394 0.919
0.294 0.474 0.588
0.795 0.196 0.200
0.820 0.524 0.291
0.820 0.221 0.950
0.140 0.797 0.811
0.344 0.637 0.942
0.627 0.974 0.469
0.084 0.947 0.527
0.259 0.634 0.778
0.814 0.315 0.149
0.881 0.871 0.625

---

# 2
Sm4U2O11 (PBE, optimized geometry); formation enthalpy at 0 K = -88.52 kcal/mol of atoms; theoretical density = 8.42 g cm⁻³; symmetry = C2
1.0
-3.564 2.083 -5.392
0.112 -1.835 -6.538
-5.632 -5.029 -0.868
Sm O U
4 11 2
Direct
0.688 0.310 0.239
0.319 0.039 0.413
0.690 0.312 0.761
0.961 0.681 0.587
0.719 0.917 0.859
0.083 0.281 0.141
0.916 0.084 0.500
0.263 0.425 0.339
0.242 0.463 0.825
0.575 0.737 0.661
0.945 0.055 0.000
0.537 0.758 0.175
0.411 0.589 0.000
0.109 0.234 0.697
0.766 0.891 0.303
0.020 0.660 0.074
0.340 0.980 0.926

---

# 3
Er4MnS7 (PBE, optimized geometry); formation enthalpy at 0 K = -47.96 kcal/mol of atoms; theoretical density = 6.04 g cm⁻³; symmetry = Cm
1.0
-5.283 -2.615 -2.797
-2.545 -2.638 -5.398
1.376 -11.224 1.547
S Er Mn
7 4 1
Direct
0.743 0.743 0.643
0.036 0.036 0.223
0.660 0.660 0.949
0.266 0.266 0.354
0.961 0.961 0.784
0.494 0.494 0.497
0.340 0.340 0.050
0.695 0.695 0.201
0.000 0.000 0.004
0.305 0.305 0.804
0.114 0.114 0.569
0.887 0.887 0.421